1.
First-principles (GGA-PBE) data for an optimized crystal structure of Sm2ZrCo16, as listed in Materials Project.

a b c (Å): 8.1943 8.3878 8.3867
angles (deg): 60.00 90.04 90.00
Fractional coordinates of all 38 atoms:
1 Co 0.4063 0.3334 0.3333
2 Co 0.5937 0.6666 0.6667
3 Co 0.7484 0.3684 0.6718
4 Co 0.2516 0.0402 0.3282
5 Co 0.2516 0.6316 0.3282
6 Co 0.7484 0.9600 0.3682
7 Co 0.5000 0.5000 0.5000
8 Co 0.7484 0.3683 0.9598
9 Co 0.7484 0.9598 0.6718
10 Co 0.2516 0.0400 0.6318
11 Co 0.0000 0.0000 0.5000
12 Co 0.9768 0.1618 0.6764
13 Co 0.4851 0.8328 0.8329
14 Co 0.0000 0.5000 0.0000
15 Co 0.5000 0.5000 0.0000
16 Co 0.5000 0.0000 0.5000
17 Co 0.9767 0.6763 0.1619
18 Co 0.0233 0.8382 0.8381
19 Co 0.7484 0.6718 0.3682
20 Co 0.2516 0.3281 0.0402
21 Co 0.2516 0.6317 0.0402
22 Co 0.5149 0.1672 0.1671
23 Co 0.5149 0.6657 0.1671
24 Co 0.4851 0.3343 0.8329
25 Co 0.5147 0.1672 0.6656
26 Co 0.2516 0.3282 0.6318
27 Co 0.0232 0.8382 0.3236
28 Co 0.7484 0.6719 0.9598
29 Co 0.4853 0.8328 0.3344
30 Co 0.0233 0.3237 0.8381
31 Co 0.9767 0.1618 0.1619
32 Co 0.0000 0.5000 0.5000
33 Sm 0.7468 0.9999 0.0003
34 Sm 0.2653 0.6666 0.6668
35 Sm 0.7347 0.3334 0.3332
36 Sm 0.2532 0.0001 0.9997
37 Zr 0.8860 0.6667 0.6666
38 Zr 0.1140 0.3333 0.3334

Computed properties:
SG ... C2/m, No. 12
E_form ... -1.63 eV per formula unit
V ... 13.1 Å³ per atom

***

2.
First-principles (GGA-PBE) data for an optimized crystal structure of Ag2O, as listed in Materials Project.

a b c (Å): 6.7803 6.7803 6.7803
angles (deg): 123.39 123.05 84.51
Fractional coordinates of all 12 atoms:
1 O 0.6096 0.3879 0.2217
2 O 0.8338 0.1121 0.7217
3 O 0.3904 0.6121 0.7783
4 O 0.1662 0.8879 0.2783
5 Ag 0.0000 0.0000 0.5000
6 Ag 0.0000 0.5000 0.0000
7 Ag 0.5000 0.0000 0.0000
8 Ag 0.5000 0.7500 0.2500
9 Ag 0.5000 0.2500 0.7500
10 Ag 0.0000 0.0000 0.0000
11 Ag 0.0000 0.5000 0.5000
12 Ag 0.5000 0.5000 0.5000

Computed properties:
SG ... Ibam, No. 72
E_form ... -0.87 eV per formula unit
Polymorph energy (0 for the lowest one) ... 0.10 eV/f.u.
V ... 17.4 Å³ per atom

***

3.
First-principles (GGA-PBE) data for an optimized crystal structure of Ce2Ge5Ir3, as listed in Materials Project.

a b c (Å): 8.4336 8.4336 8.4336
angles (deg): 137.63 104.99 90.14
Fractional coordinates of all 20 atoms:
1 Ir 0.7514 0.1417 0.6096
2 Ir 0.2486 0.8583 0.3904
3 Ir 0.0000 0.7500 0.7500
4 Ir 0.5321 0.6417 0.8904
5 Ir 0.4679 0.3583 0.1096
6 Ir 0.0000 0.2500 0.2500
7 Ce 0.5921 0.8650 0.7271
8 Ce 0.4079 0.1350 0.2729
9 Ce 0.8621 0.6350 0.2271
10 Ce 0.1379 0.3650 0.7729
11 Ge 0.2596 0.5987 0.6609
12 Ge 0.7776 0.0276 0.2500
13 Ge 0.9377 0.0987 0.8391
14 Ge 0.7776 0.5276 0.7500
15 Ge 0.0623 0.9013 0.1609
16 Ge 0.5000 0.7500 0.2500
17 Ge 0.5000 0.2500 0.7500
18 Ge 0.2224 0.4724 0.2500
19 Ge 0.2224 0.9724 0.7500
20 Ge 0.7404 0.4013 0.3391

Computed properties:
SG ... Ibam, No. 72
E_form ... -7.47 eV per formula unit
V ... 18.6 Å³ per atom

***

4.
First-principles (GGA-PBE) data for an optimized crystal structure of Na2CO3, as listed in Materials Project.

a b c (Å): 5.2156 5.2156 6.1654
angles (deg): 79.98 79.98 61.42
Fractional coordinates of all 12 atoms:
1 Na 0.3286 0.3286 0.7553
2 Na 0.0000 0.0000 0.0000
3 Na 0.0000 0.0000 0.5000
4 Na 0.6714 0.6714 0.2447
5 C 0.6634 0.6634 0.7519
6 C 0.3366 0.3366 0.2481
7 O 0.1890 0.6113 0.2839
8 O 0.8111 0.3887 0.7161
9 O 0.6113 0.1890 0.2839
10 O 0.3887 0.8111 0.7161
11 O 0.2097 0.2097 0.1763
12 O 0.7903 0.7903 0.8237

Computed properties:
SG ... C2/m, No. 12
E_form ... -12.44 eV per formula unit
V ... 12.0 Å³ per atom

***

5.
First-principles (GGA-PBE) data for an optimized crystal structure of NaBH8N2, as listed in Materials Project.

a b c (Å): 6.7567 7.6603 9.1342
angles (deg): 72.30 90.00 90.00
Fractional coordinates of all 48 atoms:
1 B 0.2901 0.6777 0.3105
2 B 0.7099 0.3223 0.6895
3 B 0.2099 0.6777 0.8105
4 B 0.7901 0.3223 0.1895
5 H 0.9536 0.8195 0.0808
6 H 0.6602 0.2773 0.8259
7 H 0.6903 0.4635 0.1583
8 H 0.1915 0.8000 0.3354
9 H 0.3097 0.0244 0.3829
10 H 0.1602 0.7227 0.6741
11 H 0.0637 0.6506 0.8943
12 H 0.8097 0.9756 0.1171
13 H 0.3188 0.0422 0.1020
14 H 0.1903 0.0244 0.8829
15 H 0.8097 0.4635 0.6583
16 H 0.4548 0.1913 0.9731
17 H 0.3085 0.8000 0.8354
18 H 0.1812 0.0422 0.6020
19 H 0.0464 0.1805 0.9192
20 H 0.6812 0.9578 0.8980
21 H 0.4536 0.1805 0.4192
22 H 0.5452 0.8087 0.0269
23 H 0.6915 0.2000 0.1646
24 H 0.3097 0.5365 0.8417
25 H 0.3398 0.7227 0.1741
26 H 0.8398 0.2773 0.3259
27 H 0.6903 0.9756 0.6171
28 H 0.0452 0.1913 0.4731
29 H 0.9363 0.3494 0.1057
30 H 0.4363 0.6506 0.3943
31 H 0.8188 0.9578 0.3980
32 H 0.1903 0.5365 0.3417
33 H 0.8085 0.2000 0.6646
34 H 0.5464 0.8195 0.5808
35 H 0.5637 0.3494 0.6057
36 H 0.9548 0.8087 0.5269
37 Na 0.7519 0.5977 0.3567
38 Na 0.7481 0.5977 0.8567
39 Na 0.2481 0.4023 0.6433
40 Na 0.2519 0.4023 0.1433
41 N 0.3120 0.1547 0.3927
42 N 0.1856 0.1656 0.5169
43 N 0.8144 0.8344 0.4831
44 N 0.3144 0.1656 0.0169
45 N 0.6856 0.8344 0.9831
46 N 0.8120 0.8453 0.1073
47 N 0.6880 0.8453 0.6073
48 N 0.1880 0.1547 0.8927

Computed properties:
SG ... P2_1/c, No. 14
E_form ... -3.17 eV per formula unit
V ... 9.4 Å³ per atom

***

6.
First-principles (GGA-PBE) data for an optimized crystal structure of Ca3Os3N5, as listed in Materials Project.

a b c (Å): 6.0386 6.7604 8.2137
angles (deg): 99.17 107.72 91.72
Fractional coordinates of all 22 atoms:
1 N 0.5091 0.7783 0.5134
2 N 0.0426 0.1154 0.8889
3 N 0.9574 0.8846 0.1111
4 N 0.4909 0.2217 0.4866
5 N 0.0051 0.2114 0.5002
6 N 0.3424 0.7827 0.9402
7 N 0.7329 0.5337 0.8881
8 N 0.9949 0.7886 0.4998
9 N 0.2671 0.4663 0.1119
10 N 0.6576 0.2173 0.0598
11 Os 0.8957 0.1039 0.2466
12 Os 0.7097 0.0049 0.4954
13 Os 0.1043 0.8961 0.7534
14 Os 0.0777 0.6741 0.9977
15 Os 0.9223 0.3259 0.0023
16 Os 0.2903 0.9951 0.5046
17 Ca 0.6392 0.8951 0.8441
18 Ca 0.3608 0.1049 0.1559
19 Ca 0.2093 0.5081 0.3944
20 Ca 0.7907 0.4919 0.6056
21 Ca 0.6361 0.6626 0.1781
22 Ca 0.3639 0.3374 0.8219

Computed properties:
SG ... P-1, No. 2
E_form ... -5.07 eV per formula unit
V ... 14.3 Å³ per atom

***

7.
First-principles (GGA-PBE) data for an optimized crystal structure of Mg6MnBi, as listed in Materials Project.

a b c (Å): 5.1682 6.3497 11.0080
angles (deg): 90.00 90.00 90.00
Fractional coordinates of all 16 atoms:
1 Mn 0.5000 0.0000 0.1669
2 Mn 0.5000 0.5000 0.6669
3 Mg 0.5000 0.2516 0.9163
4 Mg 0.0000 0.5000 0.3388
5 Mg 0.0000 0.5000 0.8290
6 Mg 0.0000 0.0000 0.8388
7 Mg 0.0000 0.2356 0.0825
8 Mg 0.0000 0.7356 0.5825
9 Mg 0.0000 0.0000 0.3290
10 Mg 0.0000 0.7644 0.0825
11 Mg 0.5000 0.7516 0.4163
12 Mg 0.5000 0.7484 0.9163
13 Mg 0.0000 0.2644 0.5825
14 Mg 0.5000 0.2484 0.4163
15 Bi 0.5000 0.5000 0.1678
16 Bi 0.5000 0.0000 0.6678

Computed properties:
E_form ... 0.62 eV per formula unit
V ... 22.6 Å³ per atom

***

8.
First-principles (GGA-PBE) data for an optimized crystal structure of K2PH4O7, as listed in Materials Project.

a b c (Å): 6.1437 6.6499 17.3420
angles (deg): 90.00 99.05 90.00
Fractional coordinates of all 56 atoms:
1 O 0.6813 0.2458 0.0664
2 O 0.5860 0.5544 0.5267
3 O 0.4839 0.2209 0.6855
4 O 0.1437 0.4985 0.0849
5 O 0.9199 0.7991 0.2969
6 O 0.1813 0.2542 0.5664
7 O 0.6437 0.0015 0.5849
8 O 0.7382 0.9650 0.1637
9 O 0.8187 0.7458 0.4336
10 O 0.0161 0.7209 0.8145
11 O 0.5801 0.2991 0.2031
12 O 0.3334 0.5900 0.1350
13 O 0.4199 0.7009 0.7969
14 O 0.3563 0.9985 0.4151
15 O 0.8563 0.5015 0.9151
16 O 0.0801 0.2009 0.7031
17 O 0.3187 0.7542 0.9336
18 O 0.2382 0.5350 0.6637
19 O 0.6666 0.4100 0.8650
20 O 0.9839 0.2791 0.1855
21 O 0.4140 0.4456 0.4733
22 O 0.0860 0.9456 0.0267
23 O 0.8334 0.9100 0.6350
24 O 0.2618 0.0350 0.8363
25 O 0.7618 0.4650 0.3363
26 O 0.1666 0.0900 0.3650
27 O 0.5161 0.7791 0.3145
28 O 0.9140 0.0544 0.9733
29 H 0.6602 0.6353 0.4879
30 H 0.2994 0.5934 0.7174
31 H 0.2006 0.0934 0.7826
32 H 0.9221 0.5893 0.8758
33 H 0.0738 0.9689 0.3439
34 H 0.1602 0.8647 0.9879
35 H 0.5779 0.0893 0.6242
36 H 0.5738 0.5311 0.8439
37 H 0.7006 0.4066 0.2826
38 H 0.8398 0.1353 0.0121
39 H 0.0779 0.4107 0.1242
40 H 0.9262 0.0311 0.6561
41 H 0.3398 0.3647 0.5121
42 H 0.4262 0.4689 0.1561
43 H 0.7994 0.9066 0.2174
44 H 0.4221 0.9107 0.3758
45 P 0.7486 0.2083 0.1544
46 P 0.7514 0.7083 0.3456
47 P 0.2486 0.2917 0.6544
48 P 0.2514 0.7917 0.8456
49 K 0.2741 0.9635 0.1896
50 K 0.2259 0.4635 0.3104
51 K 0.7087 0.6975 0.0360
52 K 0.7913 0.1975 0.4640
53 K 0.7741 0.5365 0.6896
54 K 0.2087 0.8025 0.5360
55 K 0.7259 0.0365 0.8104
56 K 0.2913 0.3025 0.9640

Computed properties:
SG ... P2_1/c, No. 14
E_form ... -24.81 eV per formula unit
V ... 12.5 Å³ per atom